# 1
Ba4NaB10ClO18F2 | GGA-PBE | optimized geometry

```
Ba4NaB10ClO18F2
1.0
6.824 0.000 0.000
0.000 11.577 0.000
-6.433 0.000 11.578
Ba Na B Cl O F
8 2 20 2 36 4
direct
0.144 0.204 0.468
0.144 0.296 0.968
0.198 0.030 0.196
0.198 0.470 0.696
0.802 0.530 0.304
0.802 0.970 0.804
0.856 0.704 0.032
0.856 0.796 0.532
0.500 0.000 0.000
0.500 0.500 0.500
0.020 0.192 0.710
0.020 0.308 0.210
0.244 0.009 0.743
0.244 0.491 0.243
0.282 0.727 0.476
0.282 0.773 0.976
0.336 0.718 0.302
0.336 0.782 0.802
0.448 0.201 0.803
0.448 0.299 0.303
0.552 0.701 0.697
0.552 0.799 0.197
0.664 0.218 0.198
0.664 0.282 0.698
0.718 0.227 0.024
0.718 0.273 0.524
0.756 0.509 0.757
0.756 0.991 0.257
0.980 0.692 0.790
0.980 0.808 0.290
0.500 0.000 0.500
0.500 0.500 0.000
0.043 0.068 0.688
0.043 0.432 0.188
0.054 0.744 0.400
0.054 0.756 0.900
0.153 0.697 0.754
0.153 0.803 0.254
0.228 0.608 0.239
0.228 0.892 0.739
0.238 0.241 0.798
0.238 0.259 0.298
0.346 0.731 0.590
0.346 0.769 0.090
0.420 0.700 0.431
0.420 0.800 0.931
0.444 0.068 0.800
0.444 0.432 0.300
0.463 0.249 0.704
0.463 0.251 0.204
0.537 0.749 0.796
0.537 0.751 0.296
0.556 0.568 0.700
0.556 0.932 0.200
0.580 0.200 0.069
0.580 0.300 0.569
0.654 0.231 0.910
0.654 0.269 0.410
0.762 0.741 0.702
0.762 0.759 0.202
0.772 0.108 0.261
0.772 0.392 0.761
0.847 0.197 0.746
0.847 0.303 0.246
0.946 0.244 0.100
0.946 0.256 0.600
0.957 0.568 0.812
0.957 0.932 0.312
0.162 0.060 0.978
0.162 0.440 0.478
0.838 0.560 0.522
0.838 0.940 0.022
```

Values from the calculation:
The calculated volume comes out at 12.7 Å³ per atom. The raw total energy comes out at -0.2735 Ha/atom. As for the formation energy: -3.074 eV per atom. Its space-group type is P2_1/c, No. 14.


# 2
CsUCuS3 | GGA-PBE | optimized geometry

```
CsUCuS3
1.0
2.000 -7.751 0.000
2.000 7.751 0.000
0.000 0.000 10.329
Cs U Cu S
2 2 2 6
direct
0.241 0.759 0.750
0.759 0.241 0.250
0.500 0.500 0.000
0.500 0.500 0.500
0.034 0.966 0.250
0.966 0.034 0.750
0.112 0.888 0.059
0.112 0.888 0.441
0.448 0.552 0.250
0.552 0.448 0.750
0.888 0.112 0.559
0.888 0.112 0.941
```

Values from the calculation:
The calculated volume comes out at 26.7 Å³ per atom. The raw total energy comes out at -0.2205 Ha/atom. As for the formation energy: -1.470 eV per atom. Its space-group type is Cmcm, No. 63.


# 3
Ho8Mg12Zn61 | GGA-PBE | optimized geometry

```
Ho8Mg12Zn61
1.0
-7.042 7.042 7.042
7.042 -7.042 7.042
7.042 7.042 -7.042
Ho Mg Zn
8 12 61
direct
0.000 0.000 0.373
0.000 0.000 0.627
0.000 0.373 0.000
0.000 0.627 0.000
0.373 0.000 0.000
0.373 0.373 0.373
0.627 0.000 0.000
0.627 0.627 0.627
0.117 0.436 0.319
0.117 0.798 0.681
0.202 0.319 0.883
0.319 0.117 0.436
0.319 0.883 0.202
0.436 0.319 0.117
0.564 0.681 0.883
0.681 0.117 0.798
0.681 0.883 0.564
0.798 0.681 0.117
0.883 0.202 0.319
0.883 0.564 0.681
0.000 0.000 0.000
0.024 0.248 0.590
0.024 0.434 0.776
0.055 0.901 0.154
0.090 0.500 0.590
0.099 0.154 0.254
0.099 0.846 0.945
0.141 0.826 0.315
0.154 0.055 0.901
0.154 0.254 0.099
0.174 0.315 0.489
0.174 0.685 0.859
0.217 0.717 0.500
0.224 0.658 0.248
0.224 0.976 0.566
0.248 0.224 0.658
0.248 0.590 0.024
0.254 0.099 0.154
0.283 0.500 0.783
0.315 0.141 0.826
0.315 0.489 0.174
0.342 0.566 0.590
0.342 0.752 0.776
0.410 0.658 0.434
0.410 0.910 0.500
0.410 0.976 0.752
0.434 0.410 0.658
0.434 0.776 0.024
0.489 0.174 0.315
0.500 0.217 0.717
0.500 0.410 0.910
0.500 0.590 0.090
0.500 0.783 0.283
0.511 0.826 0.685
0.566 0.224 0.976
0.566 0.590 0.342
0.590 0.024 0.248
0.590 0.090 0.500
0.590 0.342 0.566
0.658 0.248 0.224
0.658 0.434 0.410
0.685 0.511 0.826
0.685 0.859 0.174
0.717 0.500 0.217
0.746 0.901 0.846
0.752 0.410 0.976
0.752 0.776 0.342
0.776 0.024 0.434
0.776 0.342 0.752
0.783 0.283 0.500
0.826 0.315 0.141
0.826 0.685 0.511
0.846 0.746 0.901
0.846 0.945 0.099
0.859 0.174 0.685
0.901 0.154 0.055
0.901 0.846 0.746
0.910 0.500 0.410
0.945 0.099 0.846
0.976 0.566 0.224
0.976 0.752 0.410
```

Values from the calculation:
The calculated volume comes out at 17.2 Å³ per atom. The raw total energy comes out at -0.0665 Ha/atom. As for the formation energy: -0.172 eV per atom. Its space-group type is Im-3, No. 204.